The following is a PBE calculation of a relaxed structure of Th6Al43Mo4, from Materials Project.

**Raw total energy**: -4.9925 eV/atom
**V**: 18.16 A^3/atom

Cell and atoms, written as CIF:
```
data_Th6Al43Mo4
_cell_length_a 11.1220
_cell_length_b 11.1220
_cell_length_c 17.9669
_cell_angle_alpha 90.00
_cell_angle_beta 90.00
_cell_angle_gamma 120.00
_symmetry_space_group_name_H-M 'P 63/m c m'
_symmetry_Int_Tables_number 193
_symmetry_space_group_name_Hall '-P 6c 2'
loop_
_atom_site_label
_atom_site_type_symbol
_atom_site_fract_x
_atom_site_fract_y
_atom_site_fract_z
_atom_site_occupancy
Th1 Th 0.0000 0.4720 0.0954 1
Al1 Al 0.0000 0.1465 0.7500 1
Al2 Al 0.0000 0.1583 0.1149 1
Al3 Al 0.0000 0.2512 0.5311 1
Al4 Al 0.1483 0.5529 0.2500 1
Al5 Al 0.1593 0.3929 0.6657 1
Al6 Al 0.2468 0.4935 0.0000 1
Al7 Al 0.3333 0.6667 0.1279 1
Mo1 Mo 0.0000 0.0000 0.0000 1
Mo2 Mo 0.0000 0.2685 0.2500 1
```